Here is a relaxed structure of Na4FeO5 from the Materials Project database. Energies are from GGA+U.

Unit cell a=8.783 b=8.737 c=8.735 alpha=65.14 beta=106.61 gamma=73.07
Positions (direct):
Na 0.396 0.699 0.092
Fe 0.500 0.246 0.254
O 0.069 0.342 0.413
O 0.431 0.908 0.838
O 0.000 0.295 0.705
Na 0.106 0.053 0.656
Na 0.707 0.346 0.551
O 0.931 0.657 0.589
O 0.432 0.403 0.336
O 0.068 0.847 0.914
Na 0.791 0.407 0.196
Fe 0.500 0.751 0.749
O 0.500 0.954 0.546
Na 0.710 0.843 0.053
O 0.237 0.916 0.151
Na 0.394 0.197 0.594
Na 0.209 0.595 0.802
O 0.743 0.664 0.905
O 0.737 0.164 0.403
O 0.000 0.699 0.301
Fe 0.000 0.498 0.502
Na 0.896 0.946 0.345
Na 0.207 0.095 0.304
O 0.763 0.086 0.846
O 0.756 0.586 0.345
Na 0.293 0.156 0.947
O 0.243 0.412 0.658
Na 0.604 0.304 0.905
Fe 0.000 0.006 0.994
Na 0.104 0.551 0.158
Na 0.793 0.903 0.698
O 0.263 0.334 0.098
Na 0.894 0.450 0.841
O 0.569 0.593 0.661
Na 0.290 0.656 0.447
O 0.500 0.550 0.950
O 0.568 0.096 0.164
O 0.932 0.154 0.085
Na 0.606 0.800 0.409
O 0.257 0.838 0.593

* ΔE_f: -1.46 eV/atom
* E above lowest polymorph: 31 meV/atom
* corrected total energy (MP2020 scheme): -212.3 eV/cell
* ρ: 2.95 g/cm3
* volume: 12.84 Å³ per atom
* crystal system: monoclinic